No. 1
14
Lattice="-4.3410 4.3410 4.3354 4.3410 -4.3410 4.3354 4.3410 4.3410 -4.3354" Properties=species:S:1:pos:R:3 comment="Pr2EuS4 PBE optimized geometry" formation_energy_ev_per_atom=-2.381 pbc="T T T"
Pr 2.1705 1.1076 -1.0839
Pr 3.2334 -2.1705 5.4193
Pr 2.1705 3.2334 3.2516
Pr 1.1076 6.5115 1.0839
Eu 4.3410 0.0000 2.1677
Eu 0.0000 0.0000 4.3354
S 2.8213 3.6882 -2.6373
S 4.9938 1.5197 -0.4696
S 1.5197 0.6528 1.6981
S 1.5197 3.6882 0.4696
S 2.8213 0.6528 4.8050
S 4.9938 2.8213 2.6373
S -0.6528 2.8213 3.8659
S -0.6528 1.5197 6.9727



No. 2
6
Lattice="0.0000 3.9157 3.9157 3.9157 0.0000 3.9157 3.9157 3.9157 0.0000" Properties=species:S:1:pos:R:3 comment="EuPt2 PBE optimized geometry" formation_energy_ev_per_atom=-0.963 pbc="T T T"
Eu 0.9789 0.9789 0.9789
Eu 6.8524 6.8524 6.8524
Pt 3.9157 1.9578 1.9578
Pt 1.9578 3.9157 1.9578
Pt 1.9578 1.9578 3.9157
Pt 3.9157 3.9157 3.9157



No. 3
14
Lattice="8.4086 -3.3976 0.0000 8.4086 3.3976 0.0000 -1.0260 0.0000 7.7647" Properties=species:S:1:pos:R:3 comment="Eu5Pt2 PBE optimized geometry" formation_energy_ev_per_atom=-0.706 pbc="T T T"
Eu 7.6391 2.8616 5.8236
Eu 3.3344 0.5354 2.4709
Eu 2.8214 -0.5354 6.3533
Eu 6.7913 0.7497 0.6196
Eu 9.5129 0.7497 3.2628
Eu 6.2783 -0.7497 4.5020
Eu 8.9999 -0.7497 7.1451
Eu 12.9697 0.5354 1.4115
Eu 12.4567 -0.5354 5.2938
Eu 8.1521 -2.8616 1.9412
Pt 6.1377 1.9900 3.2557
Pt 10.1664 1.9900 0.6267
Pt 5.6247 -1.9900 7.1381
Pt 9.6534 -1.9900 4.5090



No. 4
5
Lattice="-2.1337 2.1337 4.9952 2.1337 -2.1337 4.9952 2.1337 2.1337 -4.9952" Properties=species:S:1:pos:R:3 comment="EuSi2Pt2 PBE optimized geometry" formation_energy_ev_per_atom=-0.926 pbc="T T T"
Eu 0.0000 0.0000 0.0000
Si 0.0000 0.0000 3.7733
Si 0.0000 0.0000 6.2170
Pt 2.1337 0.0000 2.4976
Pt 0.0000 2.1337 2.4976



No. 5
4
Lattice="0.0000 3.4495 3.4495 3.4495 0.0000 3.4495 3.4495 3.4495 0.0000" Properties=species:S:1:pos:R:3 comment="EuPuRh2 PBE optimized geometry" formation_energy_ev_per_atom=0.063 pbc="T T T"
Eu 0.0000 0.0000 0.0000
Pu 3.4495 3.4495 3.4495
Rh 1.7248 1.7248 1.7248
Rh 5.1743 5.1743 5.1743



No. 6
4
Lattice="6.0143 0.0000 0.0000 0.0000 6.0143 0.0000 0.0000 0.0000 6.0143" Properties=species:S:1:pos:R:3 comment="RbEu3 PBE optimized geometry" formation_energy_ev_per_atom=0.247 pbc="T T T"
Rb 0.0000 0.0000 0.0000
Eu 0.0000 3.0072 3.0072
Eu 3.0072 0.0000 3.0072
Eu 3.0072 3.0072 0.0000



No. 7
4
Lattice="0.0000 4.8708 4.8708 4.8708 0.0000 4.8708 4.8708 4.8708 0.0000" Properties=species:S:1:pos:R:3 comment="RbEu3 PBE optimized geometry" formation_energy_ev_per_atom=0.254 pbc="T T T"
Rb 0.0000 0.0000 0.0000
Eu 2.4354 2.4354 2.4354
Eu 4.8708 4.8708 4.8708
Eu 7.3062 7.3062 7.3062



No. 8
4
Lattice="-2.9810 2.9810 6.0539 2.9810 -2.9810 6.0539 2.9810 2.9810 -6.0539" Properties=species:S:1:pos:R:3 comment="RbEu3 PBE optimized geometry" formation_energy_ev_per_atom=0.249 pbc="T T T"
Rb 0.0000 0.0000 0.0000
Eu 2.9810 0.0000 3.0270
Eu 0.0000 0.0000 6.0539
Eu 0.0000 2.9810 3.0270



No. 9
28
Lattice="6.4915 0.0000 0.0000 0.0000 6.6706 0.0000 0.0000 0.0000 17.2433" Properties=species:S:1:pos:R:3 comment="RbEuSiS4 PBE optimized geometry" formation_energy_ev_per_atom=-1.541 pbc="T T T"
Rb 0.0977 0.0312 0.5671
Rb 3.1481 6.6395 9.1888
Rb 3.3435 3.3042 16.6762
Rb 6.3938 3.3665 8.0546
Eu 1.3551 0.1332 13.3443
Eu 1.8906 6.5374 4.7226
Eu 4.6009 3.2021 3.8991
Eu 5.1364 3.4685 12.5207
Si 1.3645 3.4158 2.8045
Si 1.8813 3.2548 11.4262
Si 4.6102 6.5901 14.4388
Si 5.1271 0.0805 5.8172
S 0.2983 0.0597 7.0964
S 0.4905 1.6914 11.0445
S 0.6859 4.9921 11.1604
S 0.7622 3.7080 4.8187
S 2.4836 2.9626 13.4403
S 2.5598 1.6785 2.5387
S 2.7553 4.9793 2.4228
S 2.9474 6.6109 15.7180
S 3.5441 3.2756 10.1469
S 3.7362 1.6440 6.1988
S 3.9317 5.0138 6.0830
S 4.0080 6.2979 12.4246
S 5.7294 0.3727 3.8030
S 5.8056 1.6568 14.7046
S 6.0011 5.0267 14.8205
S 6.1932 3.3950 1.5253



No. 10
6
Lattice="0.0000 3.8231 3.8231 3.8231 0.0000 3.8231 3.8231 3.8231 0.0000" Properties=species:S:1:pos:R:3 comment="EuRh2 PBE optimized geometry" formation_energy_ev_per_atom=-0.452 pbc="T T T"
Eu 0.9558 0.9558 0.9558
Eu 6.6905 6.6905 6.6905
Rh 3.8231 1.9116 1.9116
Rh 1.9116 3.8231 1.9116
Rh 1.9116 1.9116 3.8231
Rh 3.8231 3.8231 3.8231



No. 11
16
Lattice="7.7070 0.0000 0.0000 0.0000 9.9380 0.0000 0.0000 0.0000 6.5841" Properties=species:S:1:pos:R:3 comment="Eu3Rh PBE optimized geometry" formation_energy_ev_per_atom=-0.338 pbc="T T T"
Eu 0.3203 2.4845 0.9367
Eu 1.3154 0.6870 4.3715
Eu 1.3154 4.2820 4.3715
Eu 2.5381 5.6560 1.0795
Eu 2.5381 9.2510 1.0795
Eu 3.5332 7.4535 4.2288
Eu 4.1738 2.4845 2.3553
Eu 5.1689 0.6870 5.5047
Eu 5.1689 4.2820 5.5047
Eu 6.3916 5.6560 2.2126
Eu 6.3916 9.2510 2.2126
Eu 7.3867 7.4535 5.6474
Rh 0.9112 7.4535 2.9446
Rh 2.9423 2.4845 6.2367
Rh 4.7647 7.4535 0.3474
Rh 6.7958 2.4845 3.6395



No. 12
5
Lattice="-2.1108 2.1108 4.9799 2.1108 -2.1108 4.9799 2.1108 2.1108 -4.9799" Properties=species:S:1:pos:R:3 comment="EuSi3Rh PBE optimized geometry" formation_energy_ev_per_atom=-0.710 pbc="T T T"
Eu 0.0000 0.0000 0.0000
Si 2.1108 0.0000 2.6213
Si 0.0000 0.0000 4.1214
Si 0.0000 2.1108 2.6213
Rh 0.0000 0.0000 6.5126



No. 13
4
Lattice="0.0000 3.5061 3.5061 3.5061 0.0000 3.5061 3.5061 3.5061 0.0000" Properties=species:S:1:pos:R:3 comment="SmEuRh2 PBE optimized geometry" formation_energy_ev_per_atom=-0.532 pbc="T T T"
Sm 0.0000 0.0000 0.0000
Eu 3.5061 3.5061 3.5061
Rh 1.7531 1.7531 1.7531
Rh 5.2592 5.2592 5.2592



No. 14
17
Lattice="-4.7035 4.7035 4.7035 4.7035 -4.7035 4.7035 4.7035 4.7035 -4.7035" Properties=species:S:1:pos:R:3 comment="EuSb12Ru4 PBE optimized geometry" formation_energy_ev_per_atom=-0.312 pbc="T T T"
Eu 0.0000 0.0000 0.0000
Sb 3.2106 0.0000 1.4944
Sb 6.1965 0.0000 1.4944
Sb 4.7035 3.2091 -1.4930
Sb 1.4944 3.2106 0.0000
Sb 3.2091 -1.4930 4.7035
Sb 0.0000 1.4944 3.2106
Sb 4.7035 3.2091 1.4930
Sb 1.4944 6.1965 0.0000
Sb 3.2091 1.4930 4.7035
Sb 0.0000 1.4944 6.1965
Sb -1.4930 4.7035 3.2091
Sb 1.4930 4.7035 3.2091
Ru 2.3518 2.3518 -2.3518
Ru 2.3518 -2.3518 2.3518
Ru -2.3518 2.3518 2.3518
Ru 2.3518 2.3518 2.3518



No. 15
8
Lattice="9.8418 0.0000 0.0000 -4.9209 8.5232 0.0000 0.0000 0.0000 3.8250" Properties=species:S:1:pos:R:3 comment="Eu3S PBE optimized geometry" formation_energy_ev_per_atom=-0.809 pbc="T T T"
Eu 0.0000 3.4395 0.9562
Eu -1.9422 6.8035 0.9562
Eu 2.9787 1.7198 2.8687
Eu 1.9422 6.8035 0.9562
Eu 6.8631 1.7198 2.8687
Eu 4.9209 5.0837 2.8687
S 0.0000 5.6822 2.8687
S 4.9209 2.8411 0.9562



No. 16
6
Lattice="2.8139 1.6246 4.5885 -2.8139 1.6246 4.5885 0.0000 -3.2492 4.5885" Properties=species:S:1:pos:R:3 comment="EuS2 PBE optimized geometry" formation_energy_ev_per_atom=-0.753 pbc="T T T"
Eu 0.0000 0.0000 1.7207
Eu 0.0000 0.0000 12.0447
S -1.4069 -0.8123 4.5885
S -1.4069 0.8123 9.1770
S 0.0000 1.6246 4.5885
S 0.0000 0.0000 6.8827



No. 17
2
Lattice="3.5559 0.0000 0.0000 0.0000 3.5559 0.0000 0.0000 0.0000 3.5559" Properties=species:S:1:pos:R:3 comment="EuS PBE optimized geometry" formation_energy_ev_per_atom=-2.074 pbc="T T T"
Eu 0.0000 0.0000 0.0000
S 1.7780 1.7780 1.7780



No. 18
6
Lattice="-2.0529 2.0529 14.2799 2.0529 -2.0529 14.2799 2.0529 2.0529 -14.2799" Properties=species:S:1:pos:R:3 comment="EuS PBE optimized geometry" formation_energy_ev_per_atom=-2.248 pbc="T T T"
Eu 0.0000 0.0000 0.0000
Eu 0.0000 0.0000 11.4290
Eu 0.0000 0.0000 17.1308
S 0.0000 0.0000 2.9528
S 0.0000 0.0000 14.2799
S 0.0000 0.0000 25.6070



No. 19
6
Lattice="3.8994 0.0000 0.0000 0.0000 3.8994 0.0000 0.0000 0.0000 8.5870" Properties=species:S:1:pos:R:3 comment="EuS2 PBE optimized geometry" formation_energy_ev_per_atom=-1.662 pbc="T T T"
Eu 0.9748 0.9748 1.8294
Eu 2.9245 2.9245 6.7576
S 0.9748 0.9748 7.4315
S 0.9748 2.9245 4.2935
S 2.9245 0.9748 4.2935
S 2.9245 2.9245 1.1554



No. 20
12
Lattice="8.3172 0.0000 0.0000 0.0000 4.0330 0.0000 -0.0048 0.0000 7.9460" Properties=species:S:1:pos:R:3 comment="EuS2 PBE optimized geometry" formation_energy_ev_per_atom=-1.730 pbc="T T T"
Eu 1.7417 0.9230 2.9385
Eu 1.7393 1.0935 6.9115
Eu 6.5731 2.9395 1.0345
Eu 6.5707 3.1100 5.0075
S 1.1389 2.9868 0.9907
S 1.1365 3.0627 4.9637
S 4.1409 2.6807 3.1726
S 4.1385 3.3688 7.1456
S 4.1739 0.6642 0.8004
S 4.1715 1.3523 4.7734
S 7.1760 0.9703 2.9823
S 7.1736 1.0462 6.9553



For the records above, the corresponding energy values read -7.288 -8.429 -9.767 -7.576 -9.750 -7.691 -7.684 -7.689 -5.997 -8.781 -9.872 -7.490 -7.958 -6.012 -9.410 -6.594 -9.019 -9.193 -7.504 -7.572 eV per atom.